Entry 1:
A plane-wave DFT calculation with r²SCAN was carried out for a geometry-optimized Zr4Ir2N structure.

abc: 8.7874 8.7874 8.7874
angles: 60.00 60.00 60.00
Closest atoms and distances in Å follow each position.
Positions (direct):
Ir  0.8409  0.4774  0.8409  6 Zr 2.75-2.81
Zr  0.6250  0.6250  0.1250  6 Ir 2.75
Ir  0.8409  0.8409  0.8409  6 Zr 2.75-2.81
Zr  0.1836  0.8164  0.8164  2 N 2.31
Ir  0.8409  0.8409  0.4774  6 Zr 2.75-2.81
Ir  0.4091  0.4091  0.7726  6 Zr 2.75-2.81
Zr  0.4336  0.0664  0.0664  2 N 2.31
Zr  0.1836  0.1836  0.8164  2 N 2.31
Zr  0.1250  0.6250  0.6250  6 Ir 2.75
Ir  0.4774  0.8409  0.8409  6 Zr 2.75-2.81
Zr  0.6250  0.6250  0.6250  6 Ir 2.75
Zr  0.4336  0.0664  0.4336  2 N 2.31
Zr  0.0664  0.4336  0.4336  2 N 2.31
Zr  0.0664  0.4336  0.0664  2 N 2.31
Zr  0.6250  0.1249  0.6250  6 Ir 2.75
Ir  0.4091  0.7726  0.4091  6 Zr 2.75-2.81
Zr  0.8164  0.1836  0.8164  2 N 2.31
Zr  0.0664  0.0664  0.4336  2 N 2.31
N  0.1250  0.1250  0.6250  6 Zr 2.31
Ir  0.4091  0.4091  0.4091  6 Zr 2.75-2.81
N  0.1250  0.6250  0.1250  6 Zr 2.31
Zr  0.8164  0.1836  0.1836  2 N 2.31
Zr  0.4336  0.4336  0.0664  2 N 2.31
N  0.6250  0.1250  0.1250  6 Zr 2.31
Ir  0.7726  0.4091  0.4091  6 Zr 2.75-2.81
Zr  0.8164  0.8164  0.1836  2 N 2.31
Zr  0.1836  0.8164  0.1836  2 N 2.31
N  0.1250  0.1250  0.1250  6 Zr 2.31

Results
The value obtained for the formation energy from the elements is -1236.1 meV/atom. The value obtained for the magnetic moment is 0.000 μB per atom.



Entry 2:
A plane-wave DFT calculation with r²SCAN was carried out for a geometry-optimized Na2IrO3 structure.

abc: 5.4696 5.4696 5.5331
angles: 99.70 99.70 119.91
Closest atoms and distances in Å follow each position.
Positions (direct):
O  0.2960  0.2960  0.7910  2 Ir 2.05, 2 Na 2.25-2.29
Na  0.0000  0.0000  0.0000  6 O 2.29
O  0.4390  0.0704  0.2072  2 Ir 2.04-2.05, 1 Na 2.27
O  0.5610  0.9296  0.7928  2 Ir 2.04-2.05, 1 Na 2.27
Ir  0.3331  0.6669  0.0000  6 O 2.04-2.05
Na  0.5000  0.5000  0.5000  6 O 2.25-2.45
O  0.9296  0.5610  0.7928  2 Ir 2.04, 1 Na 2.27
O  0.0704  0.4390  0.2072  2 Ir 2.04, 1 Na 2.27
O  0.7040  0.7040  0.2090  2 Ir 2.05, 2 Na 2.25-2.29
Na  0.8405  0.1595  0.5000  6 O 2.27-2.48
Na  0.1595  0.8405  0.5000  6 O 2.27-2.48
Ir  0.6669  0.3331  0.0000  6 O 2.04-2.05

Results
The value obtained for the formation energy from the elements is -1386.7 meV/atom. The value obtained for the magnetic moment is 0.167 μB per atom.



Entry 3:
A plane-wave DFT calculation with r²SCAN was carried out for a geometry-optimized NaIrO3 structure.

abc: 5.3003 5.3003 7.1617
angles: 90.00 90.00 146.25
Closest atoms and distances in Å follow each position.
Positions (direct):
O  0.6159  0.3841  0.9404  2 Ir 1.98
Na  0.2516  0.7484  0.7500  8 O 2.34-2.59
Ir  0.0000  0.0000  0.5000  6 O 1.94-1.98
Na  0.7484  0.2516  0.2500  8 O 2.34-2.59
O  0.0746  0.9254  0.2500  2 Ir 1.94
O  0.3841  0.6159  0.4404  2 Ir 1.98
O  0.9254  0.0746  0.7500  2 Ir 1.94
Ir  0.0000  0.0000  0.0000  6 O 1.94-1.98
O  0.6159  0.3841  0.5596  2 Ir 1.98
O  0.3841  0.6159  0.0596  2 Ir 1.98

Results
The value obtained for the formation energy from the elements is -1175.5 meV/atom. The value obtained for the magnetic moment is 0.063 μB per atom.



- Which of these has the lowest formation energy from the elements?
  Na2IrO3